# 1
Te2O3F2 | GGA-PBE | relaxed

a b c (Å): 5.344 6.312 7.127
angles (deg): 99.46 108.97 91.95
Fractional coordinates of all 14 atoms:
Te  0.098  0.403  0.203
Te  0.376  0.016  0.764
Te  0.624  0.984  0.236
Te  0.902  0.597  0.797
O  0.040  0.864  0.719
O  0.147  0.678  0.066
O  0.384  0.153  0.065
O  0.616  0.847  0.935
O  0.853  0.322  0.934
O  0.960  0.136  0.281
F  0.167  0.439  0.709
F  0.418  0.794  0.538
F  0.582  0.206  0.462
F  0.833  0.561  0.291

Calculated values
E_tot   -5.0045 eV per atom
ΔE_f   -1.87 eV/atom



# 2
Li3Pr3Te2O12 | GGA-PBE | relaxed

a b c (Å): 11.061 11.061 11.061
angles (deg): 109.47 109.47 109.47
Fractional coordinates of all 80 atoms:
Li  0.125  0.750  0.875
Li  0.125  0.875  0.250
Li  0.250  0.125  0.875
Li  0.250  0.625  0.375
Li  0.375  0.250  0.625
Li  0.375  0.625  0.750
Li  0.625  0.375  0.250
Li  0.625  0.750  0.375
Li  0.750  0.375  0.625
Li  0.750  0.875  0.125
Li  0.875  0.125  0.750
Li  0.875  0.250  0.125
Pr  0.125  0.250  0.375
Pr  0.125  0.375  0.750
Pr  0.250  0.375  0.125
Pr  0.250  0.875  0.625
Pr  0.375  0.125  0.250
Pr  0.375  0.750  0.125
Pr  0.625  0.250  0.875
Pr  0.625  0.875  0.750
Pr  0.750  0.125  0.375
Pr  0.750  0.625  0.875
Pr  0.875  0.625  0.250
Pr  0.875  0.750  0.625
Te  0.000  0.000  0.000
Te  0.000  0.000  0.500
Te  0.000  0.500  0.000
Te  0.000  0.500  0.500
Te  0.500  0.000  0.000
Te  0.500  0.000  0.500
Te  0.500  0.500  0.000
Te  0.500  0.500  0.500
O  0.022  0.192  0.115
O  0.022  0.330  0.907
O  0.077  0.692  0.670
O  0.077  0.885  0.407
O  0.093  0.615  0.423
O  0.093  0.978  0.670
O  0.115  0.022  0.192
O  0.115  0.593  0.923
O  0.170  0.192  0.577
O  0.170  0.478  0.593
O  0.192  0.115  0.022
O  0.192  0.577  0.170
O  0.308  0.330  0.923
O  0.308  0.478  0.385
O  0.330  0.907  0.022
O  0.330  0.923  0.308
O  0.385  0.308  0.478
O  0.385  0.577  0.907
O  0.407  0.077  0.885
O  0.407  0.830  0.522
O  0.423  0.093  0.615
O  0.423  0.830  0.808
O  0.478  0.385  0.308
O  0.478  0.593  0.170
O  0.522  0.407  0.830
O  0.522  0.615  0.692
O  0.577  0.170  0.192
O  0.577  0.907  0.385
O  0.593  0.170  0.478
O  0.593  0.923  0.115
O  0.615  0.423  0.093
O  0.615  0.692  0.522
O  0.670  0.077  0.692
O  0.670  0.093  0.978
O  0.692  0.522  0.615
O  0.692  0.670  0.077
O  0.808  0.423  0.830
O  0.808  0.885  0.978
O  0.830  0.522  0.407
O  0.830  0.808  0.423
O  0.885  0.407  0.077
O  0.885  0.978  0.808
O  0.907  0.022  0.330
O  0.907  0.385  0.577
O  0.923  0.115  0.593
O  0.923  0.308  0.330
O  0.978  0.670  0.093
O  0.978  0.808  0.885

Calculated values
E_tot   -6.5834 eV per atom
ΔE_f   -2.71 eV/atom



# 3
VRh3 | GGA-PBE | relaxed

a b c (Å): 3.817 3.817 3.817
angles (deg): 90.00 90.00 90.00
Fractional coordinates of all 4 atoms:
V  0.000  0.000  0.000
Rh  0.000  0.500  0.500
Rh  0.500  0.000  0.500
Rh  0.500  0.500  0.000

Calculated values
E_tot   -8.1592 eV per atom
ΔE_f   -0.36 eV/atom



# 4
CeSe2 | GGA-PBE | relaxed

a b c (Å): 5.509 7.273 7.663
angles (deg): 104.40 105.39 107.70
Fractional coordinates of all 9 atoms:
Ce  0.000  0.000  0.000
Ce  0.171  0.444  0.705
Ce  0.514  0.703  0.331
Se  0.054  0.830  0.306
Se  0.055  0.352  0.309
Se  0.437  0.349  0.015
Se  0.440  0.853  0.003
Se  0.725  0.596  0.678
Se  0.746  0.086  0.663

Calculated values
E_tot   -5.8315 eV per atom
ΔE_f   -1.84 eV/atom



# 5
Na6Ti3ZnSi4S2O24 | GGA-PBE | relaxed

a b c (Å): 8.963 8.965 22.071
angles (deg): 89.81 89.78 60.17
Fractional coordinates of all 120 atoms:
Na  0.000  0.000  0.000
Na  0.001  0.053  0.675
Na  0.002  0.693  0.173
Na  0.290  0.041  0.166
Na  0.294  0.398  0.677
Na  0.320  0.718  0.082
Na  0.329  0.339  0.341
Na  0.330  0.716  0.584
Na  0.362  0.386  0.000
Na  0.605  0.748  0.000
Na  0.652  0.048  0.910
Na  0.653  0.050  0.422
Na  0.666  0.401  0.178
Na  0.668  0.685  0.676
Na  0.930  0.090  0.337
Na  0.956  0.406  0.258
Na  0.985  0.383  0.758
Na  0.986  0.749  0.513
Ti  0.004  0.362  0.609
Ti  0.312  0.697  0.444
Ti  0.319  0.714  0.731
Ti  0.325  0.708  0.237
Ti  0.648  0.067  0.571
Ti  0.670  0.023  0.065
Ti  0.975  0.380  0.105
Ti  0.983  0.377  0.403
Ti  0.990  0.376  0.906
Zn  0.321  0.714  0.942
Zn  0.657  0.045  0.760
Zn  0.691  0.023  0.275
Si  0.029  0.705  0.340
Si  0.281  0.095  0.007
Si  0.284  0.365  0.504
Si  0.370  0.045  0.673
Si  0.612  0.426  0.340
Si  0.655  0.752  0.173
Si  0.660  0.339  0.675
Si  0.699  0.371  0.004
Si  0.942  0.752  0.671
Si  0.949  0.047  0.173
Si  0.989  0.085  0.504
Si  0.989  0.663  0.006
S  0.029  0.009  0.840
S  0.316  0.420  0.840
S  0.318  0.999  0.339
S  0.361  0.339  0.173
S  0.618  0.707  0.840
S  0.696  0.668  0.505
O  0.004  0.187  0.563
O  0.009  0.552  0.067
O  0.023  0.180  0.839
O  0.027  0.523  0.341
O  0.115  0.916  0.896
O  0.134  0.718  0.400
O  0.135  0.911  0.785
O  0.137  0.735  0.682
O  0.139  0.870  0.178
O  0.152  0.412  0.839
O  0.152  0.691  0.002
O  0.153  0.170  0.339
O  0.155  0.689  0.280
O  0.160  0.400  0.562
O  0.162  0.190  0.066
O  0.162  0.892  0.500
O  0.169  0.201  0.662
O  0.179  0.356  0.444
O  0.183  0.223  0.948
O  0.183  0.367  0.169
O  0.300  0.543  0.500
O  0.301  0.906  0.003
O  0.303  0.914  0.282
O  0.308  0.526  0.785
O  0.323  0.506  0.896
O  0.329  0.898  0.393
O  0.347  0.515  0.174
O  0.347  0.872  0.682
O  0.427  0.113  0.730
O  0.436  0.243  0.229
O  0.463  0.031  0.336
O  0.466  0.255  0.119
O  0.468  0.085  0.012
O  0.468  0.248  0.837
O  0.473  0.195  0.510
O  0.480  0.734  0.176
O  0.481  0.529  0.683
O  0.486  0.542  0.396
O  0.504  0.001  0.616
O  0.512  0.540  0.001
O  0.519  0.541  0.277
O  0.521  0.699  0.785
O  0.522  0.690  0.499
O  0.526  0.714  0.896
O  0.610  0.253  0.617
O  0.618  0.243  0.340
O  0.623  0.873  0.111
O  0.639  0.860  0.837
O  0.688  0.196  0.012
O  0.690  0.835  0.504
O  0.697  0.837  0.229
O  0.724  0.208  0.730
O  0.773  0.571  0.561
O  0.790  0.399  0.065
O  0.790  0.544  0.839
O  0.807  0.400  0.345
O  0.808  0.572  0.451
O  0.810  0.852  0.009
O  0.813  0.382  0.660
O  0.816  0.818  0.728
O  0.819  0.060  0.509
O  0.823  0.556  0.166
O  0.830  0.107  0.233
O  0.833  0.336  0.947
O  0.849  0.015  0.115
O  0.849  0.881  0.342
O  0.857  0.028  0.838
O  0.864  0.882  0.612
O  0.951  0.568  0.948
O  0.968  0.204  0.444
O  0.983  0.554  0.660
O  0.986  0.210  0.164

Calculated values
E_tot   -6.8336 eV per atom
ΔE_f   -2.71 eV/atom



# 6
LiPrSn2 | GGA-PBE | relaxed

a b c (Å): 9.931 9.931 4.575
angles (deg): 90.00 90.00 153.85
Fractional coordinates of all 8 atoms:
Li  0.174  0.826  0.750
Li  0.826  0.174  0.250
Pr  0.394  0.606  0.750
Pr  0.606  0.394  0.250
Sn  0.043  0.957  0.750
Sn  0.249  0.751  0.250
Sn  0.751  0.249  0.750
Sn  0.957  0.043  0.250

Calculated values
E_tot   -4.2545 eV per atom
ΔE_f   -0.58 eV/atom



# 7
Cr2GeC | GGA-PBE | relaxed

a b c (Å): 2.940 2.940 12.029
angles (deg): 90.00 90.00 120.00
Fractional coordinates of all 8 atoms:
Cr  0.333  0.667  0.085
Cr  0.333  0.667  0.415
Cr  0.667  0.333  0.585
Cr  0.667  0.333  0.915
Ge  0.333  0.667  0.750
Ge  0.667  0.333  0.250
C  0.000  0.000  0.000
C  0.000  0.000  0.500

Calculated values
E_tot   -8.3648 eV per atom
ΔE_f   -0.08 eV/atom



# 8
Sb2HF13 | GGA-PBE | relaxed

a b c (Å): 5.524 6.950 7.733
angles (deg): 115.99 94.81 94.91
Fractional coordinates of all 16 atoms:
Sb  0.182  0.154  0.282
Sb  0.818  0.846  0.718
H  0.500  0.500  0.000
F  0.000  0.000  0.000
F  0.064  0.407  0.291
F  0.116  0.920  0.641
F  0.278  0.882  0.232
F  0.320  0.415  0.900
F  0.354  0.298  0.538
F  0.458  0.216  0.173
F  0.542  0.784  0.827
F  0.646  0.702  0.462
F  0.680  0.585  0.100
F  0.722  0.118  0.768
F  0.884  0.080  0.359
F  0.936  0.593  0.709

Calculated values
E_tot   -4.0180 eV per atom
ΔE_f   -2.11 eV/atom



# 9
SbF5 | GGA-PBE | relaxed

a b c (Å): 5.522 10.096 7.915
angles (deg): 90.00 110.95 90.00
Fractional coordinates of all 24 atoms:
Sb  0.119  0.248  0.403
Sb  0.119  0.252  0.903
Sb  0.881  0.748  0.097
Sb  0.881  0.752  0.597
F  0.117  0.191  0.654
F  0.117  0.309  0.154
F  0.117  0.610  0.203
F  0.117  0.890  0.703
F  0.161  0.636  0.627
F  0.161  0.864  0.127
F  0.356  0.116  0.012
F  0.356  0.384  0.512
F  0.396  0.130  0.432
F  0.396  0.370  0.932
F  0.604  0.630  0.068
F  0.604  0.870  0.568
F  0.644  0.616  0.488
F  0.644  0.884  0.988
F  0.839  0.136  0.873
F  0.839  0.364  0.373
F  0.883  0.110  0.297
F  0.883  0.390  0.797
F  0.883  0.691  0.846
F  0.883  0.809  0.346

Calculated values
E_tot   -4.4714 eV per atom
ΔE_f   -2.57 eV/atom



# 10
Cs2DyCl5 | GGA-PBE | relaxed

a b c (Å): 9.730 7.578 15.486
angles (deg): 90.00 90.00 90.00
Fractional coordinates of all 32 atoms:
Cs  0.025  0.250  0.212
Cs  0.166  0.750  0.416
Cs  0.334  0.250  0.916
Cs  0.475  0.750  0.712
Cs  0.525  0.250  0.288
Cs  0.666  0.750  0.084
Cs  0.834  0.250  0.584
Cs  0.975  0.750  0.788
Dy  0.179  0.750  0.066
Dy  0.321  0.250  0.566
Dy  0.679  0.750  0.434
Dy  0.821  0.250  0.934
Cl  0.000  0.000  0.000
Cl  0.000  0.500  0.000
Cl  0.018  0.750  0.200
Cl  0.166  0.503  0.619
Cl  0.166  0.997  0.619
Cl  0.212  0.250  0.409
Cl  0.288  0.750  0.909
Cl  0.334  0.003  0.119
Cl  0.334  0.497  0.119
Cl  0.482  0.250  0.700
Cl  0.500  0.000  0.500
Cl  0.500  0.500  0.500
Cl  0.518  0.750  0.300
Cl  0.666  0.503  0.881
Cl  0.666  0.997  0.881
Cl  0.712  0.250  0.091
Cl  0.788  0.750  0.591
Cl  0.834  0.003  0.381
Cl  0.834  0.497  0.381
Cl  0.982  0.250  0.800

Calculated values
E_tot   -4.1486 eV per atom
ΔE_f   -2.58 eV/atom



> E_tot of number 3 (VRh3)?

-8.1592 eV per atom